# 1
# Al6ZnP4H16O28, optimized geometry, DFT PBE-GGA
# - total magnetic moment (μB per cell) = 0.00
# - energy (eV per atom) = -5.563
# - calculated volume (A^3/atom) = 11.04
# - crystal system = triclinic
# - energy of formation from the pure elements (eV/atom) = -1.58
data_Al6ZnP4H16O28
_space_group_name_H-M_alt 'P 1'
_space_group_IT_number 1
_space_group_name_Hall 'P 1'
_cell_length_a 8.755
_cell_length_b 8.815
_cell_length_c 9.505
_cell_angle_alpha 72.04
_cell_angle_beta 69.94
_cell_angle_gamma 63.76
loop_
_atom_site_label
_atom_site_fract_x
_atom_site_fract_y
_atom_site_fract_z
Al1 0.162 0.404 0.049
Al2 0.243 0.714 0.340
Al3 0.308 0.085 0.206
Al4 0.692 0.915 0.794
Al5 0.757 0.286 0.660
Al6 0.838 0.596 0.951
Zn1 0.000 0.000 0.500
P1 0.403 0.805 0.851
P2 0.476 0.613 0.678
P3 0.524 0.387 0.322
P4 0.597 0.195 0.149
H1 0.037 0.679 0.231
H2 0.115 0.057 0.678
H3 0.122 0.859 0.880
H4 0.136 0.490 0.774
H5 0.184 0.262 0.401
H6 0.213 0.636 0.107
H7 0.268 0.535 0.996
H8 0.330 0.134 0.916
H9 0.670 0.866 0.084
H10 0.732 0.465 0.004
H11 0.787 0.364 0.893
H12 0.816 0.738 0.599
H13 0.864 0.510 0.226
H14 0.878 0.141 0.120
H15 0.885 0.943 0.322
H16 0.963 0.321 0.769
O1 0.069 0.139 0.586
O2 0.075 0.461 0.879
O3 0.137 0.715 0.185
O4 0.182 0.295 0.240
O5 0.199 0.921 0.823
O6 0.203 0.940 0.278
O7 0.209 0.515 0.463
O8 0.222 0.185 0.502
O9 0.255 0.783 0.510
O10 0.291 0.645 0.650
O11 0.311 0.177 0.006
O12 0.384 0.385 0.488
O13 0.461 0.577 0.238
O14 0.477 0.954 0.774
O15 0.523 0.046 0.226
O16 0.539 0.423 0.762
O17 0.616 0.615 0.512
O18 0.689 0.823 0.994
O19 0.709 0.355 0.350
O20 0.745 0.217 0.490
O21 0.778 0.815 0.498
O22 0.791 0.485 0.537
O23 0.797 0.060 0.722
O24 0.801 0.079 0.177
O25 0.818 0.705 0.760
O26 0.863 0.285 0.815
O27 0.925 0.539 0.121
O28 0.931 0.861 0.414

=====

# 2
# BiOF, optimized geometry, DFT PBE-GGA
# - energy (eV per atom) = -5.407
# - calculated volume (A^3/atom) = 15.77
# - crystal system = trigonal
# - energy of formation from the pure elements (eV/atom) = -2.21
data_BiOF
_space_group_name_H-M_alt 'P 1'
_space_group_IT_number 1
_space_group_name_Hall 'P 1'
_cell_length_a 7.205
_cell_length_b 7.205
_cell_length_c 7.205
_cell_angle_alpha 32.24
_cell_angle_beta 32.24
_cell_angle_gamma 32.24
loop_
_atom_site_label
_atom_site_fract_x
_atom_site_fract_y
_atom_site_fract_z
Bi1 0.239 0.239 0.239
Bi2 0.761 0.761 0.761
O1 0.128 0.128 0.128
O2 0.872 0.872 0.872
F1 0.378 0.378 0.378
F2 0.622 0.622 0.622

=====

# 3
# UF5, optimized geometry, DFT PBE-GGA
# - total magnetic moment (μB per cell) = 4.00
# - energy (eV per atom) = -6.924
# - calculated volume (A^3/atom) = 17.09
# - crystal system = tetragonal
# - energy of formation from the pure elements (eV/atom) = -3.83
data_UF5
_space_group_name_H-M_alt 'P 1'
_space_group_IT_number 1
_space_group_name_Hall 'P 1'
_cell_length_a 8.792
_cell_length_b 8.792
_cell_length_c 8.792
_cell_angle_alpha 96.70
_cell_angle_beta 96.70
_cell_angle_gamma 140.06
loop_
_atom_site_label
_atom_site_fract_x
_atom_site_fract_y
_atom_site_fract_z
U1 0.375 0.194 0.319
U2 0.806 0.125 0.181
U3 0.875 0.056 0.681
U4 0.944 0.625 0.819
F1 0.045 0.100 0.217
F2 0.112 0.500 0.268
F3 0.119 0.625 0.994
F4 0.156 0.888 0.388
F5 0.172 0.955 0.056
F6 0.231 0.844 0.732
F7 0.250 0.362 0.768
F8 0.375 0.369 0.494
F9 0.500 0.769 0.612
F10 0.519 0.750 0.112
F11 0.578 0.133 0.283
F12 0.594 0.481 0.232
F13 0.631 0.125 0.006
F14 0.638 0.406 0.888
F15 0.705 0.422 0.556
F16 0.850 0.295 0.717
F17 0.867 0.150 0.444
F18 0.875 0.881 0.506
F19 0.883 0.828 0.783
F20 0.900 0.117 0.944